RbEr2Cl7: optimized geometry, GGA-PBE.

Properties
Its space-group type is Pnma. The calculation puts the formation energy at -2.68 eV/atom. Its crystal system is orthorhombic. The energy is -182.07 eV per cell.

Cell and atoms, written as POSCAR:
```
RbEr2Cl7
1.0
13.2647 0.0000 0.0000
0.0000 6.9483 0.0000
0.0000 0.0000 12.6153
Rb Er Cl
4 8 28
Direct
0.0422 0.2500 0.1954
0.4578 0.7500 0.6954
0.5422 0.2500 0.3046
0.9578 0.7500 0.8046
0.2366 0.2500 0.5401
0.2500 0.2500 0.8423
0.2500 0.7500 0.3423
0.2634 0.7500 0.0401
0.7366 0.2500 0.9599
0.7500 0.2500 0.6577
0.7500 0.7500 0.1577
0.7634 0.7500 0.4599
0.1076 0.7500 0.1882
0.1213 0.0096 0.4226
0.1213 0.4904 0.4226
0.1330 0.0099 0.9604
0.1330 0.4901 0.9604
0.1749 0.0109 0.6933
0.1749 0.4891 0.6933
0.3251 0.5109 0.1933
0.3251 0.9891 0.1933
0.3670 0.5099 0.4604
0.3670 0.9901 0.4604
0.3787 0.5096 0.9226
0.3787 0.9904 0.9226
0.3924 0.2500 0.6882
0.6076 0.7500 0.3118
0.6213 0.0096 0.0774
0.6213 0.4904 0.0774
0.6330 0.0099 0.5396
0.6330 0.4901 0.5396
0.6749 0.0109 0.8067
0.6749 0.4891 0.8067
0.8251 0.5109 0.3067
0.8251 0.9891 0.3067
0.8670 0.5099 0.0396
0.8670 0.9901 0.0396
0.8787 0.5096 0.5774
0.8787 0.9904 0.5774
0.8924 0.2500 0.8118
```

***

Rb3ErCl6: optimized geometry, GGA-PBE.

Properties
Its space-group type is Fm-3m. The calculation puts the formation energy at -2.45 eV/atom. Its crystal system is cubic. The energy is -39.44 eV per cell.

Cell and atoms, written as POSCAR:
```
Rb3ErCl6
1.0
0.0000 5.7268 5.7268
5.7268 0.0000 5.7268
5.7268 5.7268 0.0000
Rb Er Cl
3 1 6
Direct
0.0000 0.0000 0.0000
0.2500 0.2500 0.2500
0.7500 0.7500 0.7500
0.5000 0.5000 0.5000
0.2719 0.2719 0.7281
0.2719 0.7281 0.2719
0.2719 0.7281 0.7281
0.7281 0.2719 0.2719
0.7281 0.2719 0.7281
0.7281 0.7281 0.2719
```

***

ErSCl: optimized geometry, GGA-PBE.

Properties
Its space-group type is Pmmn. The calculation puts the formation energy at -2.55 eV/atom. Its crystal system is orthorhombic. The energy is -34.20 eV per cell.

Cell and atoms, written as POSCAR:
```
ErSCl
1.0
3.9581 0.0000 0.0000
0.0000 5.3312 0.0000
0.0000 0.0000 8.1181
Er S Cl
2 2 2
Direct
0.2500 0.2500 0.1417
0.7500 0.7500 0.8583
0.2500 0.7500 0.0896
0.7500 0.2500 0.9104
0.2500 0.7500 0.6415
0.7500 0.2500 0.3585
```

***

EuCl3: optimized geometry, GGA-PBE.

Properties
Its space-group type is P6_3/m. The calculation puts the formation energy at -2.32 eV/atom. Its crystal system is hexagonal. The energy is -46.45 eV per cell.

Cell and atoms, written as POSCAR:
```
EuCl3
1.0
7.5622 0.0000 0.0000
-3.7811 6.5491 0.0000
0.0000 0.0000 4.2335
Eu Cl
2 6
Direct
0.3333 0.6667 0.2500
0.6667 0.3333 0.7500
0.0866 0.3903 0.7500
0.3037 0.9134 0.7500
0.3903 0.3037 0.2500
0.6097 0.6963 0.7500
0.6963 0.0866 0.2500
0.9134 0.6097 0.2500
```

***

EuClF: optimized geometry, GGA-PBE.

Properties
Its space-group type is P4/nmm. The calculation puts the formation energy at -3.28 eV/atom. Its crystal system is tetragonal. The energy is -46.78 eV per cell.

Cell and atoms, written as POSCAR:
```
EuClF
1.0
4.1345 0.0000 0.0000
0.0000 4.1345 0.0000
0.0000 0.0000 7.0319
Eu Cl F
2 2 2
Direct
0.2500 0.2500 0.2056
0.7500 0.7500 0.7944
0.2500 0.2500 0.6465
0.7500 0.7500 0.3535
0.2500 0.7500 0.0000
0.7500 0.2500 0.0000
```

***

Eu2H3Cl: optimized geometry, GGA-PBE.

Properties
Its space-group type is P-3m1. The calculation puts the formation energy at -1.14 eV/atom. Its crystal system is trigonal. The energy is -38.76 eV per cell.

Cell and atoms, written as POSCAR:
```
Eu2H3Cl
1.0
4.0260 0.0000 0.0000
-2.0130 3.4867 0.0000
0.0000 0.0000 6.8454
Eu H Cl
2 3 1
Direct
0.3333 0.6667 0.1993
0.6667 0.3333 0.8007
0.0000 0.0000 0.0000
0.3333 0.6667 0.8508
0.6667 0.3333 0.1492
0.0000 0.0000 0.5000
```

***

EuICl: optimized geometry, GGA-PBE.

Properties
Its space-group type is Pnma. The calculation puts the formation energy at -2.19 eV/atom. Its crystal system is orthorhombic. The energy is -78.32 eV per cell.

Cell and atoms, written as POSCAR:
```
EuICl
1.0
8.4039 0.0000 0.0000
0.0000 4.3958 0.0000
0.0000 0.0000 10.6781
Eu I Cl
4 4 4
Direct
0.1763 0.2500 0.1328
0.3237 0.7500 0.6328
0.6763 0.2500 0.3672
0.8237 0.7500 0.8672
0.0118 0.2500 0.6797
0.4882 0.7500 0.1797
0.5118 0.2500 0.8203
0.9882 0.7500 0.3203
0.1553 0.7500 0.9553
0.3447 0.2500 0.4553
0.6553 0.7500 0.5447
0.8447 0.2500 0.0447
```

***

KEu2Cl5: optimized geometry, GGA-PBE.

Properties
Its space-group type is P2_1/c. The calculation puts the formation energy at -2.67 eV/atom. Its crystal system is monoclinic. The energy is -196.63 eV per cell.

Cell and atoms, written as POSCAR:
```
KEu2Cl5
1.0
8.8674 0.0000 0.0000
0.0000 7.9437 0.0000
-0.0116 0.0000 12.6690
K Eu Cl
4 8 20
Direct
0.0034 0.0234 0.3236
0.0034 0.4766 0.8236
0.9966 0.5234 0.1764
0.9966 0.9766 0.6764
0.2522 0.0714 0.0064
0.2522 0.4286 0.5064
0.4989 0.5223 0.1780
0.4989 0.9777 0.6780
0.5011 0.0223 0.3220
0.5011 0.4777 0.8220
0.7478 0.5714 0.4936
0.7478 0.9286 0.9936
0.0367 0.6605 0.4105
0.0367 0.8395 0.9105
0.2748 0.1962 0.7847
0.2748 0.3038 0.2847
0.2829 0.0482 0.5028
0.2829 0.4518 0.0028
0.2860 0.6644 0.6835
0.2860 0.8356 0.1835
0.4602 0.6601 0.3987
0.4602 0.8399 0.8987
0.5398 0.1601 0.1013
0.5398 0.3399 0.6013
0.7140 0.1644 0.8165
0.7140 0.3356 0.3165
0.7171 0.5482 0.9972
0.7171 0.9518 0.4972
0.7252 0.6962 0.7153
0.7252 0.8038 0.2153
0.9633 0.1605 0.0895
0.9633 0.3395 0.5895
```

***

KEu2Cl7: optimized geometry, GGA-PBE.

Properties
Its space-group type is P2_1/c. The calculation puts the formation energy at -2.33 eV/atom. Its crystal system is monoclinic. The energy is -214.08 eV per cell.

Cell and atoms, written as POSCAR:
```
KEu2Cl7
1.0
7.1798 0.0000 0.0000
0.0000 13.2160 0.0000
-0.0900 0.0000 13.3251
K Eu Cl
4 8 28
Direct
0.2144 0.2029 0.4623
0.2144 0.2971 0.9623
0.7856 0.7029 0.0377
0.7856 0.7971 0.5377
0.2240 0.6626 0.7503
0.2240 0.8374 0.2503
0.2809 0.5380 0.2615
0.2809 0.9620 0.7615
0.7191 0.0380 0.2385
0.7191 0.4620 0.7385
0.7760 0.1626 0.7497
0.7760 0.3374 0.2497
0.0125 0.6760 0.3295
0.0125 0.8240 0.8295
0.0421 0.0600 0.6270
0.0421 0.4400 0.1270
0.0474 0.0884 0.8822
0.0474 0.4116 0.3822
0.2374 0.6841 0.1032
0.2374 0.8159 0.6032
0.4423 0.5275 0.8692
0.4423 0.9725 0.3692
0.4703 0.5743 0.6174
0.4703 0.9257 0.1174
0.4971 0.7031 0.3245
0.4971 0.7969 0.8245
0.5029 0.2031 0.1755
0.5029 0.2969 0.6755
0.5297 0.0743 0.8826
0.5297 0.4257 0.3826
0.5577 0.0275 0.6308
0.5577 0.4725 0.1308
0.7626 0.1841 0.3968
0.7626 0.3159 0.8968
0.9526 0.5884 0.6178
0.9526 0.9116 0.1178
0.9579 0.5600 0.8730
0.9579 0.9400 0.3730
0.9875 0.1760 0.1705
0.9875 0.3240 0.6705
```

***

K2NaEuCl6: optimized geometry, GGA-PBE.

Properties
Its space-group type is Fm-3m. The calculation puts the formation energy at -2.23 eV/atom. Its crystal system is cubic. The energy is -43.53 eV per cell.

Cell and atoms, written as POSCAR:
```
K2NaEuCl6
1.0
0.0000 5.4216 5.4216
5.4216 0.0000 5.4216
5.4216 5.4216 0.0000
K Na Eu Cl
2 1 1 6
Direct
0.2500 0.2500 0.2500
0.7500 0.7500 0.7500
0.0000 0.0000 0.0000
0.5000 0.5000 0.5000
0.2512 0.2512 0.7488
0.2512 0.7488 0.2512
0.2512 0.7488 0.7488
0.7488 0.2512 0.2512
0.7488 0.2512 0.7488
0.7488 0.7488 0.2512
```

***

KRb2EuCl6: optimized geometry, GGA-PBE.

Properties
Its space-group type is Fm-3m. The calculation puts the formation energy at -2.27 eV/atom. Its crystal system is cubic. The energy is -43.47 eV per cell.

Cell and atoms, written as POSCAR:
```
KRb2EuCl6
1.0
0.0000 5.7068 5.7068
5.7068 0.0000 5.7068
5.7068 5.7068 0.0000
K Rb Eu Cl
1 2 1 6
Direct
0.0000 0.0000 0.0000
0.2500 0.2500 0.2500
0.7500 0.7500 0.7500
0.5000 0.5000 0.5000
0.2628 0.2628 0.7372
0.2628 0.7372 0.2628
0.2628 0.7372 0.7372
0.7372 0.2628 0.2628
0.7372 0.2628 0.7372
0.7372 0.7372 0.2628
```

***

Na2LiEuCl6: optimized geometry, GGA-PBE.

Properties
Its space-group type is Fm-3m. The calculation puts the formation energy at -2.05 eV/atom. Its crystal system is cubic. The energy is -42.77 eV per cell.

Cell and atoms, written as POSCAR:
```
Na2LiEuCl6
1.0
0.0000 5.1959 5.1959
5.1959 0.0000 5.1959
5.1959 5.1959 0.0000
Na Li Eu Cl
2 1 1 6
Direct
0.2500 0.2500 0.2500
0.7500 0.7500 0.7500
0.0000 0.0000 0.0000
0.5000 0.5000 0.5000
0.2417 0.2417 0.7583
0.2417 0.7583 0.2417
0.2417 0.7583 0.7583
0.7583 0.2417 0.2417
0.7583 0.2417 0.7583
0.7583 0.7583 0.2417
```

***

- energy of number 6 (Eu2H3Cl)?
  -38.76 eV per cell